(1)
Density functional theory data (GGA+U) for an optimized crystal structure of Ni3B7BrO13.

a = 8.612 Å, b = 8.596 Å, c = 12.175 Å
α = 90.00°, β = 90.00°, γ = 90.00°
Space group Pca2_1 (No. 29)
Inequivalent atoms, fractional coordinates:
Ni  0.013  0.027  0.000 (multiplicity 4)
Ni  0.013  0.472  0.998 (multiplicity 4)
Ni  0.242  0.250  0.273 (multiplicity 4)
B  0.001  0.002  0.751 (multiplicity 4)
B  0.003  0.497  0.751 (multiplicity 4)
B  0.046  0.750  0.151 (multiplicity 4)
B  0.094  0.749  0.678 (multiplicity 4)
B  0.244  0.746  0.003 (multiplicity 4)
B  0.247  0.903  0.832 (multiplicity 4)
B  0.248  0.596  0.831 (multiplicity 4)
Br  0.220  0.249  0.987 (multiplicity 4)
O  0.032  0.338  0.231 (multiplicity 4)
O  0.037  0.589  0.147 (multiplicity 4)
O  0.041  0.169  0.727 (multiplicity 4)
O  0.049  0.909  0.656 (multiplicity 4)
O  0.087  0.957  0.850 (multiplicity 4)
O  0.088  0.559  0.346 (multiplicity 4)
O  0.118  0.829  0.066 (multiplicity 4)
O  0.141  0.673  0.577 (multiplicity 4)
O  0.166  0.020  0.271 (multiplicity 4)
O  0.169  0.473  0.771 (multiplicity 4)
O  0.172  0.625  0.936 (multiplicity 4)
O  0.177  0.863  0.435 (multiplicity 4)
O  0.233  0.750  0.762 (multiplicity 4)

V = 901 Å³ per cell

***

(2)
Density functional theory data (GGA+U) for an optimized crystal structure of CoB10H31C18O.

a = 9.190 Å, b = 24.990 Å, c = 12.478 Å
α = 90.00°, β = 122.24°, γ = 90.00°
Space group P2_1/c (No. 14)
Inequivalent atoms, fractional coordinates:
Co  0.208  0.114  0.463 (multiplicity 4)
B  0.004  0.095  0.492 (multiplicity 4)
B  0.006  0.143  0.268 (multiplicity 4)
B  0.029  0.710  0.032 (multiplicity 4)
B  0.055  0.588  0.167 (multiplicity 4)
B  0.091  0.703  0.205 (multiplicity 4)
B  0.105  0.652  0.997 (multiplicity 4)
B  0.116  0.157  0.566 (multiplicity 4)
B  0.201  0.640  0.259 (multiplicity 4)
B  0.208  0.610  0.133 (multiplicity 4)
B  0.221  0.681  0.151 (multiplicity 4)
H  0.015  0.141  0.926 (multiplicity 4)
H  0.016  0.138  0.176 (multiplicity 4)
H  0.026  0.747  0.491 (multiplicity 4)
H  0.031  0.057  0.559 (multiplicity 4)
H  0.040  0.058  0.771 (multiplicity 4)
H  0.070  0.545  0.216 (multiplicity 4)
H  0.091  0.557  0.663 (multiplicity 4)
H  0.096  0.516  0.457 (multiplicity 4)
H  0.121  0.743  0.266 (multiplicity 4)
H  0.152  0.653  0.924 (multiplicity 4)
H  0.168  0.139  0.880 (multiplicity 4)
H  0.174  0.246  0.777 (multiplicity 4)
H  0.206  0.000  0.472 (multiplicity 4)
H  0.210  0.161  0.679 (multiplicity 4)
H  0.256  0.124  0.136 (multiplicity 4)
H  0.262  0.226  0.061 (multiplicity 4)
H  0.270  0.011  0.949 (multiplicity 4)
H  0.282  0.048  0.312 (multiplicity 4)
H  0.301  0.199  0.290 (multiplicity 4)
H  0.306  0.648  0.591 (multiplicity 4)
H  0.315  0.633  0.367 (multiplicity 4)
H  0.324  0.666  0.794 (multiplicity 4)
H  0.328  0.583  0.155 (multiplicity 4)
H  0.336  0.016  0.743 (multiplicity 4)
H  0.348  0.707  0.185 (multiplicity 4)
H  0.387  0.103  0.077 (multiplicity 4)
H  0.415  0.225  0.654 (multiplicity 4)
H  0.430  0.217  0.968 (multiplicity 4)
H  0.471  0.575  0.573 (multiplicity 4)
H  0.489  0.717  0.991 (multiplicity 4)
H  0.500  0.130  0.437 (multiplicity 4)
C  0.041  0.062  0.860 (multiplicity 4)
C  0.115  0.116  0.926 (multiplicity 4)
C  0.138  0.186  0.365 (multiplicity 4)
C  0.161  0.021  0.959 (multiplicity 4)
C  0.177  0.195  0.491 (multiplicity 4)
C  0.252  0.221  0.340 (multiplicity 4)
C  0.257  0.101  0.062 (multiplicity 4)
C  0.288  0.035  0.493 (multiplicity 4)
C  0.319  0.236  0.556 (multiplicity 4)
C  0.331  0.060  0.410 (multiplicity 4)
C  0.387  0.061  0.615 (multiplicity 4)
C  0.392  0.624  0.676 (multiplicity 4)
C  0.394  0.242  0.472 (multiplicity 4)
C  0.403  0.635  0.788 (multiplicity 4)
C  0.404  0.050  0.733 (multiplicity 4)
C  0.445  0.103  0.476 (multiplicity 4)
C  0.485  0.103  0.604 (multiplicity 4)
C  0.488  0.582  0.665 (multiplicity 4)
O  0.223  0.046  0.079 (multiplicity 4)

V = 2424 Å³ per cell

***

(3)
Density functional theory data (GGA+U) for an optimized crystal structure of CrB6H32C8O2.

a = 9.532 Å, b = 9.084 Å, c = 13.631 Å
α = 90.00°, β = 120.64°, γ = 90.00°
Space group P2_1/c (No. 14)
Inequivalent atoms, fractional coordinates:
Cr  0.000  0.000  0.000 (multiplicity 2)
B  0.167  0.229  0.007 (multiplicity 4)
B  0.197  0.159  0.624 (multiplicity 4)
B  0.258  0.151  0.146 (multiplicity 4)
H  0.028  0.665  0.292 (multiplicity 4)
H  0.029  0.186  0.936 (multiplicity 4)
H  0.078  0.123  0.628 (multiplicity 4)
H  0.131  0.136  0.503 (multiplicity 4)
H  0.157  0.506  0.338 (multiplicity 4)
H  0.177  0.057  0.162 (multiplicity 4)
H  0.219  0.701  0.079 (multiplicity 4)
H  0.251  0.709  0.802 (multiplicity 4)
H  0.258  0.227  0.970 (multiplicity 4)
H  0.267  0.242  0.220 (multiplicity 4)
H  0.307  0.071  0.660 (multiplicity 4)
H  0.318  0.585  0.973 (multiplicity 4)
H  0.364  0.653  0.621 (multiplicity 4)
H  0.386  0.644  0.376 (multiplicity 4)
H  0.397  0.115  0.181 (multiplicity 4)
H  0.487  0.706  0.040 (multiplicity 4)
C  0.146  0.621  0.357 (multiplicity 4)
C  0.277  0.722  0.549 (multiplicity 4)
C  0.290  0.715  0.374 (multiplicity 4)
C  0.354  0.702  0.988 (multiplicity 4)
O  0.151  0.624  0.466 (multiplicity 4)

V = 1015 Å³ per cell

***

no.,spin magnetization (μB per cell),E_form (meV/atom)
1,24.00,-2378
2,0.01,-89
3,8.25,-185